Version P
A plane-wave DFT calculation with r²SCAN was carried out for a geometry-optimized Eu3Mg structure.

SG: No. 221
Density: 5.36 Mg/m³

a b c (Å): 5.2991 5.2991 5.2991
angles (deg): 90.00 90.00 90.00
Closest atoms and distances in Å follow each position.
Fractional coordinates of all 4 atoms:
1 Eu 0.0000 0.0000 0.5000  4 Mg 3.75, 8 Eu 3.75
2 Eu 0.0000 0.5000 0.0000  4 Mg 3.75, 8 Eu 3.75
3 Eu 0.5000 0.0000 0.0000  4 Mg 3.75, 8 Eu 3.75
4 Mg 0.5000 0.5000 0.5000  12 Eu 3.75

***

Version Q
A plane-wave DFT calculation with r²SCAN was carried out for a geometry-optimized Eu3Mg structure.

SG: No. 194
Density: 5.30 Mg/m³

a b c (Å): 7.5822 7.5822 6.0385
angles (deg): 90.00 90.00 120.00
Closest atoms and distances in Å follow each position.
Fractional coordinates of all 8 atoms:
1 Eu 0.1711 0.3423 0.2500  8 Eu 3.69-3.89, 4 Mg 3.70-3.79
2 Eu 0.1711 0.8289 0.2500  8 Eu 3.69-3.89, 4 Mg 3.70-3.79
3 Eu 0.3423 0.1711 0.7500  8 Eu 3.69-3.89, 4 Mg 3.70-3.79
4 Eu 0.6577 0.8289 0.2500  8 Eu 3.69-3.89, 4 Mg 3.70-3.79
5 Eu 0.8289 0.1711 0.7500  8 Eu 3.69-3.89, 4 Mg 3.70-3.79
6 Eu 0.8289 0.6577 0.7500  8 Eu 3.69-3.89, 4 Mg 3.70-3.79
7 Mg 0.3333 0.6667 0.7500  12 Eu 3.70-3.79
8 Mg 0.6667 0.3333 0.2500  12 Eu 3.70-3.79

***

Verdict on stability: version Q comes out on top.

***

Version P
A plane-wave DFT calculation with r²SCAN was carried out for a geometry-optimized Eu3NbO7 structure.

SG: No. 63
Density: 7.20 Mg/m³

a b c (Å): 6.5388 6.5388 7.6799
angles (deg): 90.00 90.00 68.24
Closest atoms and distances in Å follow each position.
Fractional coordinates of all 22 atoms:
1 Eu 0.0000 0.0000 0.0000  8 O 2.39-2.64
2 Eu 0.0000 0.0000 0.5000  8 O 2.39-2.64
3 Eu 0.0597 0.4794 0.7500  6 O 2.24-2.45
4 Eu 0.4794 0.0597 0.2500  6 O 2.24-2.45
5 Eu 0.5206 0.9403 0.7500  6 O 2.24-2.45
6 Eu 0.9403 0.5206 0.2500  6 O 2.24-2.45
7 Nb 0.5000 0.5000 0.0000  6 O 1.99-2.00
8 Nb 0.5000 0.5000 0.5000  6 O 1.99-2.00
9 O 0.1077 0.1540 0.2500  4 Eu 2.24-2.39
10 O 0.1540 0.1077 0.7500  4 Eu 2.24-2.39
11 O 0.1777 0.5670 0.0338  1 Nb 2.00
12 O 0.1777 0.5670 0.4662  1 Nb 2.00
13 O 0.4286 0.5714 0.7500  2 Nb 1.99
14 O 0.4330 0.8223 0.0338  1 Nb 2.00
15 O 0.4330 0.8223 0.4662  1 Nb 2.00
16 O 0.5670 0.1777 0.5338  1 Nb 2.00
17 O 0.5670 0.1777 0.9662  1 Nb 2.00
18 O 0.5714 0.4286 0.2500  2 Nb 1.99
19 O 0.8223 0.4330 0.5338  1 Nb 2.00
20 O 0.8223 0.4330 0.9662  1 Nb 2.00
21 O 0.8460 0.8923 0.2500  4 Eu 2.24-2.39
22 O 0.8923 0.8460 0.7500  4 Eu 2.24-2.39

***

Version Q
A plane-wave DFT calculation with r²SCAN was carried out for a geometry-optimized Eu3NbO7 structure.

SG: No. 20
Density: 7.13 Mg/m³

a b c (Å): 6.5395 6.5395 7.6816
angles (deg): 90.00 90.00 110.53
Closest atoms and distances in Å follow each position.
Fractional coordinates of all 22 atoms:
1 Eu 0.0012 0.0012 0.0000  8 O 2.36-2.64
2 Eu 0.0321 0.4978 0.2511  6 O 2.25-2.47
3 Eu 0.4978 0.0321 0.7489  6 O 2.25-2.47
4 Eu 0.5022 0.9679 0.2489  6 O 2.25-2.47
5 Eu 0.9679 0.5022 0.7511  6 O 2.25-2.47
6 Eu 0.9988 0.9988 0.5000  8 O 2.36-2.64
7 Nb 0.4997 0.4997 0.0000  6 O 1.99-2.03
8 Nb 0.5003 0.5003 0.5000  6 O 1.99-2.03
9 O 0.1281 0.8719 0.7500  4 Eu 2.27-2.36
10 O 0.1360 0.8640 0.2500  4 Eu 2.25-2.41
11 O 0.1770 0.4238 0.9710  1 Nb 2.00
12 O 0.1797 0.4269 0.5315  1 Nb 1.99
13 O 0.4238 0.1770 0.0290  1 Nb 2.00
14 O 0.4269 0.1797 0.4685  1 Nb 1.99
15 O 0.4388 0.5612 0.2500  2 Nb 2.03
16 O 0.5612 0.4388 0.7500  2 Nb 2.03
17 O 0.5731 0.8203 0.9685  1 Nb 1.99
18 O 0.5762 0.8230 0.5290  1 Nb 2.00
19 O 0.8203 0.5731 0.0315  1 Nb 1.99
20 O 0.8230 0.5762 0.4710  1 Nb 2.00
21 O 0.8640 0.1360 0.7500  4 Eu 2.25-2.41
22 O 0.8719 0.1281 0.2500  4 Eu 2.27-2.36

***

Verdict on stability: version Q comes out on top.

***

Version P
A plane-wave DFT calculation with r²SCAN was carried out for a geometry-optimized Sr3Eu structure.

SG: No. 221
Density: 3.09 Mg/m³

a b c (Å): 6.0644 6.0644 6.0644
angles (deg): 90.00 90.00 90.00
Closest atoms and distances in Å follow each position.
Fractional coordinates of all 4 atoms:
1 Sr 0.0000 0.0000 0.5000  8 Sr 4.29, 4 Eu 4.29
2 Sr 0.0000 0.5000 0.0000  8 Sr 4.29, 4 Eu 4.29
3 Sr 0.5000 0.0000 0.0000  8 Sr 4.29, 4 Eu 4.29
4 Eu 0.5000 0.5000 0.5000  12 Sr 4.29

***

Version Q
A plane-wave DFT calculation with r²SCAN was carried out for a geometry-optimized Sr3Eu structure.

SG: No. 194
Density: 3.16 Mg/m³

a b c (Å): 8.5200 8.5200 6.9446
angles (deg): 90.00 90.00 120.00
Closest atoms and distances in Å follow each position.
Fractional coordinates of all 8 atoms:
1 Sr 0.1679 0.3358 0.2500  8 Sr 4.23-4.29, 4 Eu 4.24-4.26
2 Sr 0.1679 0.8321 0.2500  8 Sr 4.23-4.29, 4 Eu 4.24-4.26
3 Sr 0.3358 0.1679 0.7500  8 Sr 4.23-4.29, 4 Eu 4.24-4.26
4 Sr 0.6642 0.8321 0.2500  8 Sr 4.23-4.29, 4 Eu 4.24-4.26
5 Sr 0.8321 0.1679 0.7500  8 Sr 4.23-4.29, 4 Eu 4.24-4.26
6 Sr 0.8321 0.6642 0.7500  8 Sr 4.23-4.29, 4 Eu 4.24-4.26
7 Eu 0.3333 0.6667 0.7500  12 Sr 4.24-4.26
8 Eu 0.6667 0.3333 0.2500  12 Sr 4.24-4.26

***

Verdict on stability: version Q comes out on top.